[1]
A plane-wave DFT calculation with GGA-PBE was carried out for a geometry-optimized MgSb2O4 structure.

abc: 3.2892 10.3745 6.8527
angles: 71.32 76.11 80.90
Fractional coordinates of all 14 atoms:
O1 0.7367 0.3828 0.1529
O2 0.8989 0.7549 0.4542
O3 0.5951 0.7117 0.1046
O4 0.7718 0.0957 0.3696
O5 0.4071 0.2664 0.9285
O6 0.2307 0.8825 0.6634
O7 0.1036 0.2232 0.5788
O8 0.2655 0.5953 0.8803
Mg1 0.2585 0.2360 0.2562
Mg2 0.7439 0.7421 0.7769
Sb1 0.1180 0.5779 0.1915
Sb2 0.6204 0.0924 0.6759
Sb3 0.8840 0.4002 0.8416
Sb4 0.3822 0.8857 0.3572

Summary:
The value obtained for the total energy is -82.73 eV for the cell shown. As for the polymorph energy (0 for the lowest one): 105 meV per atom. Its symmetry is P-1 (2). The value obtained for the total moment is 0.00 μB/f.u. As for the density: 5.145 g/cm3.

---

[2]
A plane-wave DFT calculation with GGA-PBE was carried out for a geometry-optimized Sr2ErCu3Pb2O8 structure.

abc: 3.8251 3.8251 15.9816
angles: 90.00 90.00 90.00
Fractional coordinates of all 16 atoms:
O1 0.5000 0.5000 0.2504
O2 0.5000 0.0000 0.0897
O3 0.5000 0.5000 0.7496
O4 0.5000 0.0000 0.9103
O5 0.0000 0.0000 0.6166
O6 0.0000 0.5000 0.0897
O7 0.0000 0.5000 0.9103
O8 0.0000 0.0000 0.3834
Cu1 0.5000 0.5000 0.1027
Cu2 0.0000 0.0000 0.5000
Cu3 0.5000 0.5000 0.8973
Sr1 0.0000 0.0000 0.2204
Sr2 0.0000 0.0000 0.7796
Er1 0.0000 0.0000 0.0000
Pb1 0.5000 0.5000 0.6127
Pb2 0.5000 0.5000 0.3873

Summary:
The value obtained for the total energy is -94.90 eV for the cell shown. Its symmetry is P4/mmm (123). The value obtained for the total moment is 0.01 μB/f.u. As for the density: 7.638 g/cm3.

---

[3]
A plane-wave DFT calculation with GGA-PBE was carried out for a geometry-optimized BaDy2CuO5 structure.

abc: 5.7054 7.2337 12.2657
angles: 90.00 90.00 90.00
Fractional coordinates of all 36 atoms:
O1 0.5054 0.3395 0.9317
O2 0.0037 0.6466 0.7720
O3 0.2500 0.0830 0.0994
O4 0.5037 0.3534 0.2280
O5 0.7500 0.9170 0.9006
O6 0.9946 0.3395 0.9317
O7 0.4963 0.6466 0.7720
O8 0.0054 0.8395 0.5683
O9 0.7500 0.5830 0.4006
O10 0.4963 0.8534 0.2720
O11 0.4946 0.6605 0.0683
O12 0.0054 0.6605 0.0683
O13 0.9963 0.3534 0.2280
O14 0.4946 0.8395 0.5683
O15 0.9963 0.1466 0.7280
O16 0.2500 0.4170 0.5994
O17 0.9946 0.1605 0.4317
O18 0.0037 0.8534 0.2720
O19 0.5037 0.1466 0.7280
O20 0.5054 0.1605 0.4317
Dy1 0.2500 0.3888 0.7868
Dy2 0.7500 0.6112 0.2132
Dy3 0.2500 0.1112 0.2868
Dy4 0.2500 0.1042 0.5737
Dy5 0.7500 0.8888 0.7132
Dy6 0.7500 0.8958 0.4263
Dy7 0.7500 0.6042 0.9263
Dy8 0.2500 0.3958 0.0737
Ba1 0.7500 0.0665 0.0961
Ba2 0.2500 0.9335 0.9039
Ba3 0.7500 0.4335 0.5961
Ba4 0.2500 0.5665 0.4039
Cu1 0.2500 0.7197 0.6607
Cu2 0.2500 0.7803 0.1607
Cu3 0.7500 0.2197 0.8393
Cu4 0.7500 0.2803 0.3393

Summary:
The value obtained for the total energy is -257.23 eV for the cell shown. Its symmetry is Pnma (62). The value obtained for the total moment is 1.00 μB/f.u. As for the density: 7.950 g/cm3.